[1]
This record from the Materials Project describes an optimized crystal structure of Mn3Co3Cu2O16. The functional is PBE with a Hubbard U.

abc: 5.672 5.674 8.879
angles: 87.69 87.78 60.12
Space group P1 (No. 1)
Inequivalent atoms, fractional coordinates:
Mn  0.000  0.000  0.000
Mn  0.166  0.660  0.498
Mn  0.659  0.167  0.498
Co  0.497  0.998  0.993
Co  0.663  0.664  0.492
Co  0.998  0.498  0.993
Cu  0.164  0.164  0.273
Cu  0.496  0.496  0.775
O  0.161  0.665  0.890
O  0.168  0.169  0.887
O  0.306  0.306  0.119
O  0.317  0.865  0.121
O  0.342  0.342  0.622
O  0.355  0.783  0.625
O  0.500  0.501  0.386
O  0.505  0.990  0.391
O  0.664  0.162  0.890
O  0.674  0.675  0.894
O  0.783  0.356  0.625
O  0.825  0.825  0.604
O  0.826  0.826  0.103
O  0.866  0.316  0.121
O  0.988  0.507  0.392
O  0.996  0.997  0.386

Calculated density (g/cm3): 4.9
Energy relative to the elements (kcal/mol of atoms): -27.14

***

[2]
This record from the Materials Project describes an optimized crystal structure of BaSmFeSnO6. The functional is PBE with a Hubbard U.

abc: 8.111 8.111 8.111
angles: 90.00 90.00 90.00
Space group F-43m (No. 216)
Inequivalent atoms, fractional coordinates:
Ba  0.000  0.000  0.000
Sm  0.000  0.000  0.500
Fe  0.250  0.250  0.750
Sn  0.250  0.250  0.250
O  0.003  0.250  0.750

Calculated density (g/cm3): 6.9
Energy relative to the elements (kcal/mol of atoms): -58.39

***

[3]
This record from the Materials Project describes an optimized crystal structure of LaFeAsO. The functional is PBE with a Hubbard U.

abc: 5.813 5.880 18.362
angles: 90.00 90.00 90.00
Space group Ibca (No. 73)
Inequivalent atoms, fractional coordinates:
La  0.000  0.250  0.065
Fe  0.235  0.000  0.250
As  0.000  0.250  0.335
O  0.250  0.001  0.000

Calculated density (g/cm3): 6.0
Energy relative to the elements (kcal/mol of atoms): -40.83

***

[4]
This record from the Materials Project describes an optimized crystal structure of Li2Cr3FeO8. The functional is PBE with a Hubbard U.

abc: 5.9095 5.9095 14.4037
angles: 90.00 90.00 120.00
Space group R3m (No. 160, hexagonal axes)
Inequivalent atoms, fractional coordinates:
Li  0.0000  0.0000  0.0000
Li  0.0000  0.0000  0.3758
Cr  0.1712  0.3424  0.8315
Fe  0.0000  0.0000  0.6196
O  0.0000  0.0000  0.2396
O  0.0000  0.0000  0.7561
O  0.0232  0.5116  0.7633
O  0.1759  0.3519  0.5760

Calculated density (g/cm3): 4.0
Energy relative to the elements (kcal/mol of atoms): -48.40
Offset from the most stable computed form (eV per formula unit): 0.26

***

[5]
This record from the Materials Project describes an optimized crystal structure of Co2OF3. The functional is PBE with a Hubbard U.

abc: 6.287 6.835 6.424
angles: 90.00 90.00 90.00
Space group Amm2 (No. 38)
Inequivalent atoms, fractional coordinates:
Co  0.000  0.000  0.000
Co  0.249  0.000  0.463
Co  0.500  0.000  0.929
O  0.000  0.000  0.272
O  0.500  0.000  0.654
F  0.000  0.000  0.684
F  0.249  0.193  0.964
F  0.500  0.000  0.243

Calculated density (g/cm3): 4.6
Energy relative to the elements (kcal/mol of atoms): -45.64
Offset from the most stable computed form (eV per formula unit): 0.01

***

[6]
This record from the Materials Project describes an optimized crystal structure of Li9Mn2Co5O16. The functional is PBE with a Hubbard U.

abc: 2.903 5.110 19.418
angles: 93.03 93.03 91.64
Space group P1 (No. 1)
Inequivalent atoms, fractional coordinates:
Li  0.000  0.000  0.000
Li  0.048  0.689  0.117
Li  0.189  0.059  0.378
Li  0.310  0.441  0.627
Li  0.437  0.832  0.881
Li  0.558  0.168  0.115
Li  0.689  0.572  0.378
Li  0.813  0.935  0.626
Li  0.947  0.318  0.878
Mn  0.124  0.377  0.250
Mn  0.500  0.502  0.000
Co  0.252  0.752  0.500
Co  0.376  0.127  0.750
Co  0.623  0.877  0.249
Co  0.749  0.252  0.501
Co  0.875  0.628  0.751
O  0.019  0.361  0.056
O  0.093  0.055  0.194
O  0.155  0.702  0.307
O  0.222  0.416  0.444
O  0.276  0.085  0.555
O  0.332  0.776  0.692
O  0.422  0.482  0.807
O  0.468  0.189  0.942
O  0.533  0.816  0.060
O  0.611  0.514  0.196
O  0.640  0.237  0.307
O  0.686  0.911  0.441
O  0.814  0.594  0.557
O  0.829  0.274  0.691
O  0.922  0.981  0.808
O  0.984  0.643  0.945

Calculated density (g/cm3): 4.2
Energy relative to the elements (kcal/mol of atoms): -41.48
Offset from the most stable computed form (eV per formula unit): 2.09

***

Copy entry 3 word for word.
This record from the Materials Project describes an optimized crystal structure of LaFeAsO. The functional is PBE with a Hubbard U.

abc: 5.813 5.880 18.362
angles: 90.00 90.00 90.00
Space group Ibca (No. 73)
Inequivalent atoms, fractional coordinates:
La  0.000  0.250  0.065
Fe  0.235  0.000  0.250
As  0.000  0.250  0.335
O  0.250  0.001  0.000

Calculated density (g/cm3): 6.0
Energy relative to the elements (kcal/mol of atoms): -40.83

***

> Number 2 is which compound?

BaSmFeSnO6

***

> The lowest calculated density belongs to which entry?

Li2Cr3FeO8